Below is an optimized crystal structure of TaS2, with properties calculated at the PBE level.

## Properties
Formation enthalpy at 0 K, eV/atom: -1.3814

abc: 3.345 3.345 17.691
angles: 90.00 90.00 120.00
Element x y z (fractional)
1 S 0.000 0.000 0.338
2 S 0.000 0.000 0.662
3 S 0.000 0.000 0.162
4 S 0.000 0.000 0.838
5 Ta 0.667 0.333 0.250
6 Ta 0.333 0.667 0.750